Entry 1:
Here is Ba2Ca3Tl2Co4O12 after structural relaxation from the Materials Project database. Energies are from PBE with a Hubbard U.

Values from the calculation:
As for the spin magnetization: 10.90 μB/cell. For the formation enthalpy at 0 K, the calculation gives -44.0 eV/f.u.

Cell: 3.852 3.852 22.018 Å, 95.02 95.02 90.00°
Fractional positions:
Ba: 0.159 0.159 0.318
Ba: 0.841 0.841 0.682
Ca: 0.075 0.075 0.150
Ca: 0.925 0.925 0.850
Ca: 0.000 0.000 0.000
Tl: 0.724 0.724 0.447
Tl: 0.276 0.276 0.553
Co: 0.537 0.537 0.075
Co: 0.390 0.390 0.781
Co: 0.610 0.610 0.219
Co: 0.463 0.463 0.925
O: 0.390 0.890 0.781
O: 0.537 0.037 0.074
O: 0.228 0.228 0.455
O: 0.963 0.463 0.926
O: 0.772 0.772 0.545
O: 0.110 0.610 0.219
O: 0.610 0.110 0.219
O: 0.325 0.325 0.649
O: 0.890 0.390 0.781
O: 0.037 0.537 0.074
O: 0.463 0.963 0.926
O: 0.675 0.675 0.351

Entry 2:
Here is Ba2CaYCo8O14 after structural relaxation from the Materials Project database. Energies are from PBE with a Hubbard U.

Values from the calculation:
As for the spin magnetization: 25.11 μB/cell. For the formation enthalpy at 0 K, the calculation gives -40.9 eV/f.u. Its energy relative to the lowest polymorph listed for this composition is 8.87 kcal/mol of atoms.

Cell: 6.788 6.788 9.806 Å, 90.00 90.00 120.00°
Fractional positions:
Ba: 0.667 0.333 0.107
Ba: 0.000 0.000 0.613
Ca: 0.000 0.000 0.970
Y: 0.667 0.333 0.492
Co: 0.522 0.478 0.784
Co: 0.333 0.667 0.393
Co: 0.522 0.043 0.784
Co: 0.957 0.478 0.784
Co: 0.667 0.834 0.223
Co: 0.166 0.333 0.223
Co: 0.166 0.834 0.223
Co: 0.333 0.667 0.745
O: 0.498 0.502 0.371
O: 0.413 0.206 0.682
O: 0.498 0.996 0.371
O: 0.794 0.587 0.682
O: 0.794 0.206 0.682
O: 0.629 0.815 0.844
O: 0.004 0.502 0.371
O: 0.869 0.131 0.153
O: 0.185 0.371 0.844
O: 0.869 0.738 0.153
O: 0.333 0.667 0.191
O: 0.262 0.131 0.153
O: 0.185 0.815 0.844
O: 0.333 0.667 0.573

Entry 3:
Here is Ba2CaYCo8O14 after structural relaxation from the Materials Project database. Energies are from PBE with a Hubbard U.

Values from the calculation:
As for the spin magnetization: 27.00 μB/cell. For the formation enthalpy at 0 K, the calculation gives -50.9 eV/f.u. Its energy relative to the lowest polymorph listed for this composition is 0.00 kcal/mol of atoms.

Cell: 6.413 6.413 10.381 Å, 89.40 89.40 60.29°
Fractional positions:
Ba: 0.340 0.340 0.019
Ba: 0.658 0.658 0.522
Ca: 0.333 0.333 0.628
Y: 0.668 0.668 0.133
Co: 0.831 0.831 0.812
Co: 0.338 0.827 0.813
Co: 0.827 0.338 0.813
Co: 0.169 0.169 0.314
Co: 0.664 0.167 0.311
Co: 0.167 0.664 0.311
Co: 0.004 0.004 0.054
Co: 0.996 0.996 0.553
O: 0.002 0.002 0.241
O: 0.996 0.996 0.747
O: 0.506 0.506 0.748
O: 0.977 0.518 0.749
O: 0.518 0.977 0.749
O: 0.495 0.495 0.244
O: 0.010 0.496 0.241
O: 0.496 0.010 0.241
O: 0.840 0.840 0.994
O: 0.323 0.828 0.003
O: 0.828 0.323 0.003
O: 0.160 0.160 0.501
O: 0.683 0.173 0.500
O: 0.173 0.683 0.500

Entry 4:
Here is Ba4CaCr4Cu2F28 after structural relaxation from the Materials Project database. Energies are from PBE with a Hubbard U.

Values from the calculation:
As for the spin magnetization: 12.00 μB/cell. For the formation enthalpy at 0 K, the calculation gives -126.0 eV/f.u.

Cell: 5.404 7.578 15.033 Å, 91.28 90.03 110.89°
Fractional positions:
Ba: 0.117 0.374 0.622
Ba: 0.257 0.362 0.126
Ba: 0.894 0.636 0.373
Ba: 0.743 0.627 0.878
Ca: 0.424 0.002 0.749
Cr: 0.141 0.239 0.372
Cr: 0.101 0.244 0.874
Cr: 0.854 0.756 0.625
Cr: 0.899 0.759 0.128
Cu: 0.501 0.003 0.001
Cu: 0.501 0.999 0.498
F: 0.843 0.505 0.096
F: 0.159 0.506 0.899
F: 0.085 0.013 0.653
F: 0.071 0.986 0.845
F: 0.296 0.170 0.478
F: 0.585 0.765 0.709
F: 0.826 0.235 0.789
F: 0.646 0.495 0.600
F: 0.936 0.001 0.151
F: 0.887 0.276 0.452
F: 0.404 0.281 0.953
F: 0.619 0.110 0.612
F: 0.928 0.996 0.351
F: 0.152 0.750 0.205
F: 0.644 0.665 0.219
F: 0.341 0.492 0.404
F: 0.878 0.174 0.980
F: 0.610 0.724 0.047
F: 0.984 0.334 0.280
F: 0.030 0.678 0.723
F: 0.507 0.893 0.886
F: 0.498 0.117 0.110
F: 0.118 0.715 0.547
F: 0.703 0.827 0.519
F: 0.124 0.828 0.022
F: 0.359 0.320 0.777
F: 0.401 0.243 0.296
F: 0.375 0.882 0.390

Q: Which of these has the highest formation enthalpy at 0 K?
A: number 2

Q: Among the records above, which one has the lowest spin magnetization?
A: Ba2Ca3Tl2Co4O12